1.
## Sm2Cr2C3 (r2SCAN)

Data for a relaxed structure of Sm2Cr2C3.

Unit cell a=5.448 b=5.448 c=5.684 alpha=75.73 beta=75.73 gamma=37.16
Element x y z (fractional)
Sm (0.399, 0.399, 0.818)
Sm (0.601, 0.601, 0.182)
Cr (0.159, 0.159, 0.602)
Cr (0.841, 0.841, 0.398)
C (0.295, 0.295, 0.285)
C (0.705, 0.705, 0.715)
C (0.000, 0.000, 0.500)

Space group: No. 12
Size of the total moment in μB/f.u.: 0.07
Calculated formation energy in eV per atom: -0.27



2.
## Tl7Sb2 (r2SCAN)

Data for a relaxed structure of Tl7Sb2.

Unit cell a=10.284 b=10.284 c=10.284 alpha=109.47 beta=109.47 gamma=109.47
Element x y z (fractional)
Tl (0.000, 0.353, 0.647)
Tl (0.706, 0.353, 0.353)
Tl (0.661, 0.661, 0.661)
Tl (0.000, 0.647, 0.353)
Tl (0.000, 0.000, 0.661)
Tl (0.353, 0.353, 0.706)
Tl (0.339, 0.000, 0.000)
Tl (0.647, 0.000, 0.353)
Tl (0.661, 0.000, 0.000)
Tl (0.353, 0.000, 0.647)
Tl (0.000, 0.000, 0.339)
Tl (0.647, 0.647, 0.294)
Tl (0.353, 0.647, 0.000)
Tl (0.000, 0.339, 0.000)
Tl (0.000, 0.661, 0.000)
Tl (0.000, 0.000, 0.000)
Tl (0.647, 0.353, 0.000)
Tl (0.294, 0.647, 0.647)
Tl (0.647, 0.294, 0.647)
Tl (0.353, 0.706, 0.353)
Tl (0.339, 0.339, 0.339)
Sb (0.000, 0.697, 0.697)
Sb (0.000, 0.303, 0.303)
Sb (0.303, 0.000, 0.303)
Sb (0.303, 0.303, 0.000)
Sb (0.697, 0.000, 0.697)
Sb (0.697, 0.697, 0.000)

Space group: No. 229
Size of the total moment in μB/f.u.: 0.00
Calculated formation energy in eV per atom: -0.02



3.
## HfZn (r2SCAN)

Data for a relaxed structure of HfZn.

Unit cell a=3.275 b=3.275 c=3.275 alpha=90.00 beta=90.00 gamma=90.00
Element x y z (fractional)
Hf (0.500, 0.500, 0.500)
Zn (0.000, 0.000, 0.000)

Space group: No. 221
Size of the total moment in μB/f.u.: 0.00
Calculated formation energy in eV per atom: -0.23



4.
## CeTh9O20 (r2SCAN)

Data for a relaxed structure of CeTh9O20.

Unit cell a=6.841 b=7.899 c=8.831 alpha=102.92 beta=97.42 gamma=106.78
Element x y z (fractional)
Ce (0.000, 0.500, 0.000)
Th (0.199, 0.899, 0.399)
Th (0.199, 0.400, 0.399)
Th (0.600, 0.699, 0.199)
Th (0.601, 0.201, 0.200)
Th (0.000, 0.000, 0.000)
Th (0.801, 0.101, 0.601)
Th (0.801, 0.600, 0.601)
Th (0.400, 0.301, 0.801)
Th (0.399, 0.799, 0.800)
O (0.850, 0.325, 0.450)
O (0.150, 0.675, 0.550)
O (0.150, 0.175, 0.550)
O (0.850, 0.825, 0.450)
O (0.550, 0.475, 0.350)
O (0.550, 0.975, 0.350)
O (0.247, 0.623, 0.247)
O (0.950, 0.772, 0.148)
O (0.249, 0.125, 0.250)
O (0.950, 0.277, 0.148)
O (0.346, 0.574, 0.951)
O (0.350, 0.075, 0.950)
O (0.050, 0.228, 0.852)
O (0.650, 0.925, 0.050)
O (0.654, 0.426, 0.049)
O (0.050, 0.723, 0.852)
O (0.450, 0.525, 0.650)
O (0.450, 0.025, 0.650)
O (0.751, 0.875, 0.750)
O (0.753, 0.377, 0.753)

Space group: No. 2
Size of the total moment in μB/f.u.: 0.00
Calculated formation energy in eV per atom: -4.18



5.
## Nb2Al3Ir (r2SCAN)

Data for a relaxed structure of Nb2Al3Ir.

Unit cell a=5.187 b=5.187 c=7.990 alpha=90.00 beta=90.00 gamma=120.00
Element x y z (fractional)
Nb (0.333, 0.667, 0.427)
Nb (0.667, 0.333, 0.573)
Nb (0.667, 0.333, 0.927)
Nb (0.333, 0.667, 0.073)
Al (0.831, 0.169, 0.250)
Al (0.831, 0.662, 0.250)
Al (0.338, 0.169, 0.250)
Al (0.169, 0.831, 0.750)
Al (0.169, 0.338, 0.750)
Al (0.662, 0.831, 0.750)
Ir (0.000, 0.000, 0.500)
Ir (0.000, 0.000, 0.000)

Space group: No. 194
Size of the total moment in μB/f.u.: 0.00
Calculated formation energy in eV per atom: -0.72



6.
## TlCr5Te8 (r2SCAN)

Data for a relaxed structure of TlCr5Te8.

Unit cell a=3.987 b=9.658 c=10.555 alpha=105.02 beta=100.87 gamma=89.95
Element x y z (fractional)
Tl (0.964, 0.005, 0.942)
Cr (0.159, 0.475, 0.316)
Cr (0.206, 0.830, 0.410)
Cr (0.502, 0.501, 0.003)
Cr (0.796, 0.171, 0.593)
Cr (0.843, 0.523, 0.686)
Te (0.076, 0.655, 0.153)
Te (0.263, 0.344, 0.524)
Te (0.330, 0.009, 0.660)
Te (0.417, 0.680, 0.835)
Te (0.585, 0.318, 0.167)
Te (0.674, 0.991, 0.345)
Te (0.740, 0.653, 0.477)
Te (0.927, 0.345, 0.853)

Space group: No. 1
Size of the total moment in μB/f.u.: 15.00
Calculated formation energy in eV per atom: -0.45



7.
## RbIO3 (r2SCAN)

Data for a relaxed structure of RbIO3.

Unit cell a=4.519 b=4.519 c=4.519 alpha=89.72 beta=89.72 gamma=89.72
Element x y z (fractional)
Rb (0.484, 0.484, 0.484)
I (0.999, 0.999, 0.999)
O (0.398, 0.963, 0.963)
O (0.963, 0.963, 0.398)
O (0.963, 0.398, 0.963)

Space group: No. 160
Size of the total moment in μB/f.u.: 0.00
Calculated formation energy in eV per atom: -1.05



8.
## Er2Co12P7 (r2SCAN)

Data for a relaxed structure of Er2Co12P7.

Unit cell a=8.911 b=8.911 c=3.565 alpha=90.00 beta=90.00 gamma=120.00
Element x y z (fractional)
Er (0.667, 0.333, 0.500)
Er (0.333, 0.667, 0.000)
Co (0.119, 0.846, 0.000)
Co (0.382, 0.434, 0.500)
Co (0.727, 0.881, 0.000)
Co (0.566, 0.948, 0.500)
Co (0.229, 0.100, 0.500)
Co (0.871, 0.771, 0.500)
Co (0.900, 0.129, 0.500)
Co (0.940, 0.373, 0.000)
Co (0.627, 0.567, 0.000)
Co (0.433, 0.060, 0.000)
Co (0.052, 0.618, 0.500)
Co (0.154, 0.273, 0.000)
P (0.000, 0.000, 0.000)
P (0.596, 0.708, 0.500)
P (0.704, 0.113, 0.000)
P (0.887, 0.591, 0.000)
P (0.409, 0.296, 0.000)
P (0.292, 0.888, 0.500)
P (0.112, 0.404, 0.500)

Space group: No. 174
Size of the total moment in μB/f.u.: 6.43
Calculated formation energy in eV per atom: -0.75